[1]
The following is a DFT calculation (PBE-GGA) of a relaxed structure of Pr2SiS5.

Output
**Energy relative to the elements**: -1.70 eV/atom
**Offset from the most stable computed form**: 175 meV/atom
**M_tot**: 0.00 μB/cell

Cell: 8.757 8.311 12.224 Å, 90.00 92.80 90.00°
Space group P2_1/c (No. 14)
Asymmetric unit:
Pr 0.001 0.079 0.340
Pr 0.244 0.573 0.508
Si 0.463 0.213 0.287
S 0.025 0.085 0.866
S 0.176 0.604 0.980
S 0.265 0.167 0.195
S 0.324 0.671 0.270
S 0.447 0.204 0.944



[2]
The following is a DFT calculation (PBE-GGA) of a relaxed structure of KAlP4H4O14.

Output
**Energy relative to the elements**: -2.44 eV/atom
**M_tot**: 0.00 μB/cell

Cell: 4.956 7.558 7.870 Å, 81.68 83.66 73.92°
Space group P-1 (No. 2)
Asymmetric unit:
K 0.000 0.000 0.000
Al 0.000 0.500 0.000
P 0.313 0.236 0.316
P 0.419 0.605 0.225
H 0.128 0.782 0.411
H 0.314 0.998 0.622
O 0.162 0.280 0.151
O 0.166 0.165 0.478
O 0.240 0.628 0.074
O 0.272 0.412 0.822
O 0.308 0.773 0.332
O 0.379 0.426 0.354
O 0.390 0.903 0.722



[3]
The following is a DFT calculation (PBE-GGA) of a relaxed structure of B2Mo.

Output
**Energy relative to the elements**: -0.28 eV/atom
**M_tot**: 0.00 μB/cell

Cell: 3.0305 3.0305 3.3493 Å, 90.00 90.00 120.00°
Space group P6/mmm (No. 191)
Asymmetric unit:
B 0.3333 0.6667 0.0000
Mo 0.0000 0.0000 0.5000



[4]
The following is a DFT calculation (PBE-GGA) of a relaxed structure of TmAsO4.

Output
**Energy relative to the elements**: -2.78 eV/atom
**M_tot**: 0.00 μB/cell

Cell: 6.639 6.938 8.056 Å, 90.00 126.62 90.00°
Space group P2_1/c (No. 14)
Asymmetric unit:
Tm 0.196 0.144 0.281
As 0.311 0.660 0.200
O 0.107 0.648 0.600
O 0.159 0.009 0.745
O 0.359 0.604 0.017
O 0.380 0.215 0.109



[5]
The following is a DFT calculation (PBE-GGA) of a relaxed structure of Na10Sc4Ta4Si9S3O48.

Output
**Energy relative to the elements**: -2.94 eV/atom
**M_tot**: 0.00 μB/cell

Cell: 9.053 15.732 22.698 Å, 90.54 90.02 90.07°
Space group P1 (No. 1)
Asymmetric unit:
Na 0.000 0.000 0.000
Na 0.003 0.664 0.333
Na 0.008 0.696 0.671
Na 0.013 0.033 0.336
Na 0.131 0.532 0.836
Na 0.143 0.833 0.166
Na 0.144 0.499 0.500
Na 0.151 0.166 0.837
Na 0.181 0.859 0.840
Na 0.312 0.344 0.584
Na 0.317 0.341 0.085
Na 0.322 0.013 0.416
Na 0.327 0.018 0.918
Na 0.328 0.672 0.250
Na 0.335 0.677 0.748
Na 0.492 0.167 0.337
Na 0.499 0.500 0.000
Na 0.508 0.196 0.670
Na 0.631 0.032 0.836
Na 0.636 0.333 0.167
Na 0.642 0.001 0.500
Na 0.651 0.666 0.837
Na 0.681 0.359 0.840
Na 0.809 0.512 0.419
Na 0.811 0.845 0.585
Na 0.815 0.840 0.083
Na 0.820 0.174 0.249
Na 0.827 0.518 0.919
Na 0.835 0.177 0.748
Na 0.966 0.360 0.341
Sc 0.321 0.346 0.442
Sc 0.322 0.023 0.774
Sc 0.322 0.685 0.110
Sc 0.324 0.022 0.276
Sc 0.324 0.346 0.942
Sc 0.330 0.688 0.609
Sc 0.818 0.521 0.274
Sc 0.821 0.186 0.109
Sc 0.821 0.851 0.443
Sc 0.822 0.523 0.774
Sc 0.824 0.846 0.942
Sc 0.830 0.188 0.609
Ta 0.310 0.024 0.069
Ta 0.310 0.352 0.736
Ta 0.312 0.690 0.403
Ta 0.326 0.352 0.238
Ta 0.328 0.690 0.902
Ta 0.336 0.023 0.568
Ta 0.807 0.524 0.069
Ta 0.810 0.852 0.737
Ta 0.812 0.192 0.400
Ta 0.828 0.191 0.902
Ta 0.833 0.856 0.234
Ta 0.835 0.522 0.569
Si 0.028 0.023 0.175
Si 0.029 0.690 0.510
Si 0.031 0.354 0.842
Si 0.112 0.190 0.008
Si 0.114 0.853 0.341
Si 0.120 0.518 0.675
Si 0.172 0.165 0.675
Si 0.174 0.207 0.339
Si 0.177 0.832 0.010
Si 0.181 0.499 0.342
Si 0.465 0.497 0.842
Si 0.467 0.832 0.508
Si 0.468 0.166 0.175
Si 0.469 0.207 0.838
Si 0.522 0.520 0.175
Si 0.531 0.190 0.509
Si 0.531 0.854 0.842
Si 0.611 0.358 0.341
Si 0.612 0.690 0.008
Si 0.620 0.018 0.675
Si 0.672 0.665 0.675
Si 0.675 0.996 0.343
Si 0.677 0.333 0.010
Si 0.965 0.997 0.842
Si 0.967 0.332 0.508
Si 0.968 0.665 0.176
Si 0.969 0.707 0.838
S 0.171 0.542 0.006
S 0.174 0.875 0.673
S 0.471 0.543 0.506
S 0.471 0.876 0.173
S 0.671 0.042 0.006
S 0.672 0.709 0.339
S 0.674 0.375 0.673
S 0.971 0.376 0.172
S 0.972 0.041 0.506
O 0.003 0.515 0.334
O 0.003 0.854 0.003
O 0.003 0.864 0.395
O 0.005 0.191 0.063
O 0.006 0.169 0.948
O 0.006 0.833 0.280
O 0.007 0.504 0.615
O 0.007 0.867 0.676
O 0.008 0.533 0.011
O 0.017 0.530 0.732
O 0.127 0.026 0.233
O 0.127 0.694 0.568
O 0.134 0.368 0.176
O 0.135 0.032 0.513
O 0.135 0.374 0.896
O 0.139 0.003 0.116
O 0.139 0.332 0.782
O 0.140 0.355 0.503
O 0.140 0.669 0.450
O 0.141 0.010 0.833
O 0.141 0.687 0.169
O 0.152 0.699 0.847
O 0.199 0.442 0.400
O 0.199 0.594 0.951
O 0.203 0.271 0.282
O 0.206 0.113 0.734
O 0.207 0.778 0.068
O 0.208 0.928 0.621
O 0.211 0.762 0.347
O 0.212 0.097 0.013
O 0.214 0.604 0.667
O 0.217 0.934 0.333
O 0.218 0.270 0.003
O 0.220 0.430 0.679
O 0.232 0.913 0.727
O 0.234 0.788 0.668
O 0.237 0.583 0.057
O 0.239 0.111 0.333
O 0.241 0.457 0.000
O 0.249 0.781 0.950
O 0.253 0.112 0.618
O 0.253 0.249 0.395
O 0.253 0.448 0.283
O 0.262 0.594 0.348
O 0.264 0.927 0.014
O 0.269 0.257 0.678
O 0.380 0.591 0.847
O 0.380 0.927 0.514
O 0.383 0.260 0.179
O 0.383 0.447 0.785
O 0.388 0.250 0.893
O 0.394 0.780 0.449
O 0.395 0.111 0.117
O 0.402 0.458 0.499
O 0.404 0.111 0.834
O 0.404 0.582 0.558
O 0.404 0.791 0.167
O 0.405 0.915 0.225
O 0.415 0.930 0.832
O 0.418 0.601 0.167
O 0.424 0.270 0.504
O 0.429 0.429 0.179
O 0.431 0.097 0.513
O 0.433 0.763 0.847
O 0.435 0.773 0.563
O 0.439 0.111 0.234
O 0.442 0.596 0.452
O 0.443 0.442 0.901
O 0.444 0.928 0.119
O 0.445 0.269 0.779
O 0.499 0.680 0.668
O 0.502 0.016 0.335
O 0.503 0.354 0.003
O 0.504 0.692 0.063
O 0.506 0.669 0.948
O 0.507 0.004 0.615
O 0.507 0.032 0.011
O 0.507 0.336 0.281
O 0.508 0.367 0.676
O 0.508 0.699 0.345
O 0.510 0.369 0.398
O 0.517 0.030 0.732
O 0.629 0.192 0.568
O 0.635 0.503 0.114
O 0.635 0.527 0.229
O 0.635 0.534 0.512
O 0.635 0.866 0.179
O 0.636 0.874 0.896
O 0.639 0.832 0.782
O 0.640 0.169 0.450
O 0.641 0.510 0.833
O 0.641 0.854 0.502
O 0.643 0.186 0.169
O 0.652 0.199 0.847
O 0.698 0.093 0.951
O 0.700 0.761 0.286
O 0.706 0.613 0.734
O 0.708 0.264 0.346
O 0.708 0.278 0.067
O 0.708 0.429 0.621
O 0.709 0.944 0.401
O 0.712 0.598 0.013
O 0.715 0.104 0.668
O 0.718 0.770 0.003
O 0.721 0.930 0.679
O 0.732 0.413 0.727
O 0.734 0.289 0.667
O 0.736 0.083 0.057
O 0.736 0.430 0.333
O 0.738 0.748 0.392
O 0.741 0.624 0.334
O 0.741 0.957 0.000
O 0.750 0.281 0.950
O 0.753 0.612 0.618
O 0.755 0.944 0.285
O 0.764 0.090 0.347
O 0.764 0.428 0.014
O 0.769 0.757 0.678
O 0.879 0.427 0.514
O 0.879 0.759 0.180
O 0.880 0.091 0.847
O 0.883 0.947 0.785
O 0.888 0.750 0.893
O 0.894 0.283 0.447
O 0.894 0.611 0.118
O 0.901 0.291 0.167
O 0.903 0.081 0.557
O 0.903 0.956 0.500
O 0.904 0.611 0.834
O 0.909 0.414 0.227
O 0.915 0.430 0.832
O 0.918 0.101 0.167
O 0.920 0.768 0.500
O 0.931 0.596 0.513
O 0.931 0.929 0.179
O 0.933 0.273 0.562
O 0.934 0.263 0.847
O 0.936 0.430 0.120
O 0.939 0.612 0.235
O 0.943 0.942 0.901
O 0.945 0.769 0.779
O 0.946 0.093 0.451
O 0.991 0.199 0.346
O 0.999 0.180 0.668



[6]
The following is a DFT calculation (PBE-GGA) of a relaxed structure of K3TmCl6.

Output
**Energy relative to the elements**: -2.49 eV/atom

Cell: 13.168 7.778 12.617 Å, 90.00 108.74 90.00°
Space group P2_1/c (No. 14)
Asymmetric unit:
K 0.099 0.032 0.360
K 0.315 0.565 0.265
K 0.320 0.066 0.113
Tm 0.000 0.000 0.000
Tm 0.500 0.000 0.500
Cl 0.100 0.220 0.596
Cl 0.118 0.502 0.372
Cl 0.137 0.681 0.652
Cl 0.347 0.707 0.005
Cl 0.349 0.213 0.393
Cl 0.500 0.140 0.689



[7]
The following is a DFT calculation (PBE-GGA) of a relaxed structure of Al3Cr20Si9.

Output
**Energy relative to the elements**: -0.19 eV/atom
**M_tot**: 0.03 μB/cell

Cell: 4.629 12.925 12.959 Å, 90.00 90.00 90.00°
Space group C222 (No. 21)
Asymmetric unit:
Al 0.000 0.000 0.000
Al 0.000 0.000 0.500
Al 0.000 0.500 0.000
Cr 0.003 0.250 0.251
Cr 0.244 0.423 0.654
Cr 0.245 0.344 0.423
Cr 0.249 0.421 0.843
Cr 0.250 0.159 0.079
Si 0.000 0.500 0.500
Si 0.247 0.083 0.250
Si 0.250 0.250 0.584
Si 0.250 0.250 0.915



The lowest energy relative to the elements belongs to which entry?
Na10Sc4Ta4Si9S3O48



Which value of energy relative to the elements does entry 6 give?
-2.49 eV/atom



Which of these has the highest energy relative to the elements?
Al3Cr20Si9